Entry 1:
This record from the Materials Project database describes an optimized crystal structure of NaAlSi2O6. The functional is GGA-PBE.

Formation enthalpy at 0 K (eV/f.u.): -31.776
SG: C2/c
Excess energy over the best structure of this formula in the dataset (meV per atom): 0
V (Å³ per cell): 1322.3

a = 11.9537 Å, b = 11.9537 Å, c = 13.8779 Å
α = 125.25°, β = 125.25°, γ = 69.61°
Closest atoms and distances in Å follow each position.
Fractional positions:
Na 0.1392 0.6468 0.8971  4 O 2.37-2.44
Na 0.2493 0.2798 0.6131  4 O 2.39-2.59
Na 0.2798 0.2493 0.1131  4 O 2.39-2.59
Na 0.3532 0.8608 0.6029  4 O 2.37-2.44
Na 0.6468 0.1392 0.3971  4 O 2.37-2.44
Na 0.7202 0.7507 0.8869  4 O 2.39-2.59
Na 0.7507 0.7202 0.3869  4 O 2.39-2.59
Na 0.8608 0.3532 0.1029  4 O 2.37-2.44
Al 0.0362 0.2154 0.2844  4 O 1.74-1.77
Al 0.2154 0.0362 0.7844  4 O 1.74-1.77
Al 0.2828 0.4626 0.0329  4 O 1.75-1.77
Al 0.4626 0.2828 0.5329  4 O 1.75-1.77
Al 0.5374 0.7173 0.4671  4 O 1.75-1.77
Al 0.7173 0.5374 0.9671  4 O 1.75-1.77
Al 0.7846 0.9638 0.2156  4 O 1.74-1.77
Al 0.9638 0.7846 0.7156  4 O 1.74-1.77
Si 0.0429 0.2993 0.7528  4 O 1.61-1.67
Si 0.0674 0.7485 0.5289  4 O 1.62-1.66
Si 0.2009 0.4553 0.4115  4 O 1.61-1.67
Si 0.2519 0.5676 0.2911  4 O 1.62-1.66
Si 0.2515 0.9326 0.9711  4 O 1.62-1.66
Si 0.2993 0.0429 0.2528  4 O 1.61-1.67
Si 0.4324 0.7481 0.2089  4 O 1.62-1.66
Si 0.4553 0.2009 0.9115  4 O 1.61-1.67
Si 0.5447 0.7991 0.0885  4 O 1.61-1.67
Si 0.5676 0.2519 0.7911  4 O 1.62-1.66
Si 0.7007 0.9571 0.7472  4 O 1.61-1.67
Si 0.7485 0.0674 0.0289  4 O 1.62-1.66
Si 0.7481 0.4324 0.7089  4 O 1.62-1.66
Si 0.7991 0.5447 0.5885  4 O 1.61-1.67
Si 0.9326 0.2515 0.4711  4 O 1.62-1.66
Si 0.9571 0.7007 0.2472  4 O 1.61-1.67
O 0.0252 0.2537 0.4214  1 Si 1.62, 1 Al 1.76
O 0.0498 0.2595 0.6197  2 Si 1.66-1.67
O 0.0609 0.3680 0.3058  1 Si 1.63, 1 Al 1.77
O 0.1005 0.1739 0.7832  1 Si 1.61, 1 Al 1.74
O 0.1183 0.6708 0.2852  2 Si 1.63-1.64
O 0.1184 0.8383 0.8698  1 Si 1.62, 1 Al 1.76
O 0.1316 0.4378 0.8780  1 Si 1.63, 1 Al 1.77
O 0.1617 0.8816 0.6302  1 Si 1.62, 1 Al 1.76
O 0.1728 0.6162 0.5064  2 Si 1.64
O 0.1739 0.1005 0.2832  1 Si 1.61, 1 Al 1.74
O 0.2497 0.4502 0.3183  2 Si 1.66-1.67
O 0.2520 0.4756 0.1484  1 Si 1.62, 1 Al 1.76
O 0.2537 0.0252 0.9214  1 Si 1.62, 1 Al 1.76
O 0.2595 0.0498 0.1197  2 Si 1.66-1.67
O 0.3206 0.3942 0.5092  1 Si 1.61, 1 Al 1.75
O 0.3292 0.8817 0.2148  2 Si 1.63-1.64
O 0.3366 0.6160 0.0838  1 Si 1.62, 1 Al 1.75
O 0.3680 0.0609 0.8058  1 Si 1.63, 1 Al 1.77
O 0.3840 0.6634 0.4162  1 Si 1.62, 1 Al 1.75
O 0.3838 0.8272 0.9936  2 Si 1.64
O 0.3942 0.3206 0.0092  1 Si 1.61, 1 Al 1.75
O 0.4378 0.1316 0.3780  1 Si 1.63, 1 Al 1.77
O 0.4502 0.2497 0.8183  2 Si 1.66-1.67
O 0.4756 0.2520 0.6484  1 Si 1.62, 1 Al 1.76
O 0.5244 0.7480 0.3516  1 Si 1.62, 1 Al 1.75
O 0.5498 0.7503 0.1817  2 Si 1.66-1.67
O 0.5622 0.8684 0.6220  1 Si 1.63, 1 Al 1.77
O 0.6058 0.6794 0.9908  1 Si 1.61, 1 Al 1.75
O 0.6162 0.1728 0.0064  2 Si 1.64
O 0.6160 0.3366 0.5838  1 Si 1.62, 1 Al 1.75
O 0.6320 0.9391 0.1942  1 Si 1.63, 1 Al 1.77
O 0.6634 0.3840 0.9162  1 Si 1.62, 1 Al 1.75
O 0.6708 0.1183 0.7852  2 Si 1.63-1.64
O 0.6794 0.6058 0.4908  1 Si 1.61, 1 Al 1.75
O 0.7405 0.9502 0.8803  2 Si 1.66-1.67
O 0.7463 0.9748 0.0786  1 Si 1.62, 1 Al 1.76
O 0.7480 0.5244 0.8516  1 Si 1.62, 1 Al 1.76
O 0.7503 0.5498 0.6817  2 Si 1.66-1.67
O 0.8261 0.8995 0.7168  1 Si 1.61, 1 Al 1.74
O 0.8272 0.3838 0.4936  2 Si 1.64
O 0.8383 0.1184 0.3698  1 Si 1.62, 1 Al 1.76
O 0.8684 0.5622 0.1220  1 Si 1.63, 1 Al 1.77
O 0.8816 0.1617 0.1302  1 Si 1.62, 1 Al 1.76
O 0.8817 0.3292 0.7148  2 Si 1.63-1.64
O 0.8995 0.8261 0.2168  1 Si 1.61, 1 Al 1.74
O 0.9391 0.6320 0.6942  1 Si 1.63, 1 Al 1.77
O 0.9502 0.7405 0.3803  2 Si 1.66-1.67
O 0.9748 0.7463 0.5786  1 Si 1.62, 1 Al 1.76



Entry 2:
This record from the Materials Project database describes an optimized crystal structure of Na2Al2Si3O10. The functional is GGA-PBE.

Formation enthalpy at 0 K (eV/f.u.): -53.036
SG: Fdd2
Excess energy over the best structure of this formula in the dataset (meV per atom): 11
V (Å³ per cell): 540.2

a = 9.6493 Å, b = 9.6475 Å, c = 12.8318 Å
α = 48.33°, β = 48.31°, γ = 83.36°
Closest atoms and distances in Å follow each position.
Fractional positions:
Na 0.2908 0.7092 0.3556  3 O 2.41-2.53
Na 0.6056 0.8944 0.5408  3 O 2.41-2.53
Na 0.7092 0.2908 0.6444  3 O 2.41-2.53
Na 0.8944 0.6056 0.9592  3 O 2.41-2.53
Al 0.0365 0.1607 0.7663  4 O 1.74-1.77
Al 0.1607 0.0365 0.0365  4 O 1.74-1.77
Al 0.2135 0.4837 0.0893  4 O 1.74-1.77
Al 0.4837 0.2135 0.2135  4 O 1.74-1.77
Si 0.0483 0.1809 0.5197  4 O 1.61-1.66
Si 0.1809 0.0483 0.2510  4 O 1.61-1.66
Si 0.4873 0.4873 0.5127  4 O 1.62-1.65
Si 0.7303 0.9990 0.2017  4 O 1.61-1.66
Si 0.7373 0.7373 0.7627  4 O 1.62-1.65
Si 0.9990 0.7303 0.0691  4 O 1.61-1.66
O 0.0036 0.9012 0.8962  1 Si 1.63, 1 Al 1.75
O 0.0510 0.3538 0.3488  1 Si 1.63, 1 Al 1.75
O 0.0970 0.6071 0.0184  1 Si 1.64, 1 Al 1.77
O 0.1375 0.8512 0.0454  1 Si 1.61, 1 Al 1.74
O 0.2046 0.2842 0.1125  1 Si 1.61, 1 Al 1.74
O 0.2316 0.9724 0.1530  1 Si 1.64, 1 Al 1.77
O 0.2842 0.2046 0.3988  1 Si 1.61, 1 Al 1.74
O 0.3125 0.3988 0.5462  1 Si 1.62, 1 Al 1.77
O 0.3538 0.0510 0.2464  1 Si 1.63, 1 Al 1.75
O 0.3988 0.3125 0.7425  1 Si 1.62, 1 Al 1.77
O 0.5075 0.7038 0.8512  1 Si 1.62, 1 Al 1.77
O 0.5274 0.7277 0.4085  2 Si 1.65-1.66
O 0.6071 0.0970 0.2776  1 Si 1.64, 1 Al 1.77
O 0.7038 0.5075 0.9375  1 Si 1.62, 1 Al 1.77
O 0.7277 0.5274 0.3364  2 Si 1.65-1.66
O 0.8415 0.9136 0.7226  2 Si 1.65-1.66
O 0.8512 0.1375 0.9658  1 Si 1.61, 1 Al 1.74
O 0.9012 0.0036 0.1990  1 Si 1.63, 1 Al 1.75
O 0.9136 0.8415 0.5223  2 Si 1.65-1.66
O 0.9724 0.2316 0.6429  1 Si 1.64, 1 Al 1.77



Entry 3:
This record from the Materials Project database describes an optimized crystal structure of NaAlSiO4. The functional is GGA-PBE.

Formation enthalpy at 0 K (eV/f.u.): -21.951
SG: P1
Excess energy over the best structure of this formula in the dataset (meV per atom): 14
V (Å³ per cell): 739.8

a = 8.4552 Å, b = 10.0312 Å, c = 10.0578 Å
α = 119.86°, β = 90.06°, γ = 90.17°
Closest atoms and distances in Å follow each position.
Fractional positions:
Na 0.0000 0.0000 0.0000  7 O 2.53-2.81
Na 0.0020 0.5518 0.4367  5 O 2.48-2.65
Na 0.0037 0.4460 0.8930  7 O 2.58-2.70
Na 0.4891 0.0055 0.4272  4 O 2.61-2.85
Na 0.4993 0.5588 0.9982  7 O 2.53-2.79
Na 0.5013 0.4445 0.4438  6 O 2.48-2.71
Na 0.5047 0.9944 0.8875  7 O 2.48-2.77
Na 0.9898 0.0274 0.4668  3 O 2.64-2.82
Al 0.1892 0.7611 0.1212  4 O 1.76
Al 0.1940 0.3274 0.5375  4 O 1.75-1.76
Al 0.1941 0.9034 0.6833  4 O 1.75-1.77
Al 0.2065 0.3253 0.1103  4 O 1.74-1.76
Al 0.6912 0.0850 0.2079  4 O 1.75-1.77
Al 0.6929 0.2333 0.7760  4 O 1.75-1.77
Al 0.6931 0.6665 0.3534  4 O 1.75-1.76
Al 0.7067 0.6641 0.7843  4 O 1.74-1.76
Si 0.3083 0.6643 0.7843  4 O 1.63-1.64
Si 0.3215 0.2348 0.7762  4 O 1.63-1.64
Si 0.3235 0.0847 0.2060  4 O 1.63-1.64
Si 0.3233 0.6657 0.3547  4 O 1.63-1.64
Si 0.8087 0.3257 0.1111  4 O 1.63-1.64
Si 0.8200 0.3282 0.5373  4 O 1.63-1.64
Si 0.8227 0.9042 0.6852  4 O 1.63-1.64
Si 0.8256 0.7586 0.1205  4 O 1.64
O 0.9998 0.7096 0.1530  1 Si 1.64, 1 Al 1.76
O 0.0009 0.3121 0.1130  1 Si 1.63, 1 Al 1.74
O 0.0010 0.9778 0.7353  1 Si 1.64, 1 Al 1.77
O 0.1873 0.9576 0.1785  1 Si 1.63, 1 Al 1.76
O 0.1939 0.2534 0.6630  1 Si 1.64, 1 Al 1.75
O 0.1954 0.7687 0.4876  1 Si 1.63, 1 Al 1.75
O 0.2350 0.6458 0.9253  1 Si 1.64, 1 Al 1.76
O 0.2479 0.8247 0.7981  1 Si 1.63, 1 Al 1.75
O 0.2539 0.5192 0.6188  1 Si 1.64, 1 Al 1.75
O 0.2637 0.3449 0.9531  1 Si 1.64, 1 Al 1.76
O 0.2700 0.4860 0.2807  1 Si 1.63, 1 Al 1.75
O 0.2903 0.1579 0.0952  1 Si 1.64, 1 Al 1.76
O 0.3253 0.2156 0.3879  1 Si 1.64, 1 Al 1.76
O 0.3293 0.0527 0.7251  1 Si 1.63, 1 Al 1.76
O 0.3290 0.7248 0.2291  1 Si 1.64, 1 Al 1.76
O 0.4989 0.0045 0.1673  1 Si 1.64, 1 Al 1.77
O 0.4996 0.2901 0.7603  1 Si 1.64, 1 Al 1.77
O 0.5011 0.6670 0.7968  1 Si 1.63, 1 Al 1.74
O 0.5011 0.6823 0.4267  1 Si 1.64, 1 Al 1.76
O 0.6894 0.7301 0.2196  1 Si 1.64, 1 Al 1.75
O 0.6926 0.2187 0.4045  1 Si 1.64, 1 Al 1.75
O 0.6935 0.0354 0.7098  1 Si 1.63, 1 Al 1.75
O 0.7320 0.1671 0.0933  1 Si 1.64, 1 Al 1.75
O 0.7498 0.4735 0.2718  1 Si 1.64, 1 Al 1.75
O 0.7554 0.3472 0.9668  1 Si 1.63, 1 Al 1.75
O 0.7657 0.5068 0.6088  1 Si 1.63, 1 Al 1.76
O 0.7725 0.8359 0.7967  1 Si 1.63, 1 Al 1.75
O 0.7868 0.6495 0.9375  1 Si 1.64, 1 Al 1.75
O 0.8259 0.2695 0.6627  1 Si 1.64, 1 Al 1.76
O 0.8271 0.7737 0.5031  1 Si 1.64, 1 Al 1.76
O 0.8301 0.9409 0.1709  1 Si 1.64, 1 Al 1.76
O 0.9991 0.3086 0.4672  1 Si 1.64, 1 Al 1.76



Entry 4:
This record from the Materials Project database describes an optimized crystal structure of NaAlSiO4. The functional is GGA-PBE.

Formation enthalpy at 0 K (eV/f.u.): -21.867
SG: R3c
Excess energy over the best structure of this formula in the dataset (meV per atom): 26
V (Å³ per cell): 800.0

a = 9.2834 Å, b = 9.2834 Å, c = 9.2834 Å
α = 90.20°, β = 90.20°, γ = 90.20°
Closest atoms and distances in Å follow each position.
Fractional positions:
Na 0.1548 0.6746 0.6706  4 O 2.46-2.68
Na 0.1706 0.1746 0.6548  4 O 2.46-2.68
Na 0.1746 0.6548 0.1706  4 O 2.46-2.68
Na 0.6548 0.1706 0.1746  4 O 2.46-2.68
Na 0.6706 0.1548 0.6746  4 O 2.46-2.68
Na 0.6746 0.6706 0.1548  4 O 2.46-2.68
Al 0.1673 0.9204 0.4110  4 O 1.74-1.75
Al 0.4110 0.1673 0.9204  4 O 1.74-1.75
Al 0.4204 0.6673 0.9110  4 O 1.74-1.75
Al 0.6673 0.9110 0.4204  4 O 1.74-1.75
Al 0.9110 0.4204 0.6673  4 O 1.74-1.75
Al 0.9204 0.4110 0.1673  4 O 1.74-1.75
Si 0.1660 0.4191 0.9137  4 O 1.62-1.64
Si 0.4137 0.9191 0.6660  4 O 1.62-1.64
Si 0.4191 0.9137 0.1660  4 O 1.62-1.64
Si 0.6660 0.4137 0.9191  4 O 1.62-1.64
Si 0.9137 0.1660 0.4191  4 O 1.62-1.64
Si 0.9191 0.6660 0.4137  4 O 1.62-1.64
O 0.0604 0.0737 0.4075  1 Si 1.62, 1 Al 1.74
O 0.0670 0.7617 0.4304  1 Si 1.64, 1 Al 1.75
O 0.0706 0.4423 0.7666  1 Si 1.64, 1 Al 1.75
O 0.0737 0.4075 0.0604  1 Si 1.62, 1 Al 1.74
O 0.2602 0.2734 0.8858  1 Si 1.63, 1 Al 1.74
O 0.2617 0.5670 0.9304  1 Si 1.64, 1 Al 1.75
O 0.2666 0.9423 0.5706  1 Si 1.64, 1 Al 1.75
O 0.2734 0.8858 0.2602  1 Si 1.63, 1 Al 1.74
O 0.3858 0.7734 0.7602  1 Si 1.63, 1 Al 1.74
O 0.4075 0.0604 0.0737  1 Si 1.62, 1 Al 1.74
O 0.4304 0.0670 0.7617  1 Si 1.64, 1 Al 1.75
O 0.4423 0.7666 0.0706  1 Si 1.64, 1 Al 1.75
O 0.5604 0.9075 0.5737  1 Si 1.62, 1 Al 1.74
O 0.5670 0.9304 0.2617  1 Si 1.64, 1 Al 1.75
O 0.5706 0.2666 0.9423  1 Si 1.64, 1 Al 1.75
O 0.5737 0.5604 0.9075  1 Si 1.62, 1 Al 1.74
O 0.7602 0.3858 0.7734  1 Si 1.63, 1 Al 1.74
O 0.7617 0.4304 0.0670  1 Si 1.64, 1 Al 1.75
O 0.7666 0.0706 0.4423  1 Si 1.64, 1 Al 1.75
O 0.7734 0.7602 0.3858  1 Si 1.63, 1 Al 1.74
O 0.8858 0.2602 0.2734  1 Si 1.63, 1 Al 1.74
O 0.9075 0.5737 0.5604  1 Si 1.62, 1 Al 1.74
O 0.9304 0.2617 0.5670  1 Si 1.64, 1 Al 1.75
O 0.9423 0.5706 0.2666  1 Si 1.64, 1 Al 1.75